# 1
GdCuSi | PBE | optimized geometry

a b c (Å): 4.162 4.162 7.596
angles (deg): 90.00 90.00 120.00
Atoms (fractional coordinates):
Gd: 0.000 0.000 0.000
Gd: 0.000 0.000 0.500
Cu: 0.333 0.667 0.250
Cu: 0.667 0.333 0.750
Si: 0.333 0.667 0.750
Si: 0.667 0.333 0.250

Output
formation enthalpy at 0 K = -0.6324 eV/atom
MP2020-corrected energy = -8.4993 eV/atom
VASP energy = -8.523 eV/atom

# 2
GdCu2Sn2 | PBE | optimized geometry

a b c (Å): 4.403 4.403 10.586
angles (deg): 90.00 90.00 90.00
Atoms (fractional coordinates):
Gd: 0.250 0.250 0.237
Gd: 0.750 0.750 0.763
Cu: 0.250 0.250 0.636
Cu: 0.250 0.750 0.000
Cu: 0.750 0.250 0.000
Cu: 0.750 0.750 0.364
Sn: 0.250 0.250 0.872
Sn: 0.250 0.750 0.500
Sn: 0.750 0.250 0.500
Sn: 0.750 0.750 0.128

Output
formation enthalpy at 0 K = -0.3645 eV/atom
VASP energy = -6.423 eV/atom

# 3
GdCu5Sn | PBE | optimized geometry

a b c (Å): 8.228 5.021 10.539
angles (deg): 90.00 90.00 90.00
Atoms (fractional coordinates):
Gd: 0.247 0.250 0.063
Gd: 0.253 0.750 0.563
Gd: 0.747 0.250 0.437
Gd: 0.753 0.750 0.937
Cu: 0.060 0.750 0.103
Cu: 0.065 0.000 0.313
Cu: 0.065 0.500 0.313
Cu: 0.086 0.250 0.518
Cu: 0.186 0.250 0.745
Cu: 0.314 0.750 0.245
Cu: 0.414 0.750 0.018
Cu: 0.435 0.000 0.813
Cu: 0.435 0.500 0.813
Cu: 0.440 0.250 0.603
Cu: 0.560 0.750 0.397
Cu: 0.565 0.000 0.187
Cu: 0.565 0.500 0.187
Cu: 0.586 0.250 0.982
Cu: 0.686 0.250 0.755
Cu: 0.814 0.750 0.255
Cu: 0.914 0.750 0.482
Cu: 0.935 0.000 0.687
Cu: 0.935 0.500 0.687
Cu: 0.940 0.250 0.897
Sn: 0.141 0.750 0.861
Sn: 0.359 0.250 0.361
Sn: 0.641 0.750 0.639
Sn: 0.859 0.250 0.139

Output
formation enthalpy at 0 K = -0.2543 eV/atom
VASP energy = -5.766 eV/atom

# 4
GdCuSn | PBE | optimized geometry

a b c (Å): 4.566 4.566 7.327
angles (deg): 90.00 90.00 120.00
Atoms (fractional coordinates):
Gd: 0.000 0.000 0.000
Gd: 0.000 0.000 0.500
Cu: 0.333 0.667 0.313
Cu: 0.667 0.333 0.813
Sn: 0.333 0.667 0.731
Sn: 0.667 0.333 0.231

Output
formation enthalpy at 0 K = -0.5966 eV/atom
VASP energy = -7.992 eV/atom

# 5
GdYCu4 | PBE | optimized geometry

a b c (Å): 4.357 6.983 7.401
angles (deg): 90.00 90.00 90.00
Atoms (fractional coordinates):
Gd: 0.000 0.000 0.000
Gd: 0.500 0.500 0.500
Y: 0.000 0.500 0.077
Y: 0.500 0.000 0.577
Cu: 0.000 0.199 0.374
Cu: 0.000 0.301 0.704
Cu: 0.000 0.699 0.704
Cu: 0.000 0.801 0.374
Cu: 0.500 0.199 0.204
Cu: 0.500 0.301 0.874
Cu: 0.500 0.699 0.874
Cu: 0.500 0.801 0.204

Output
formation enthalpy at 0 K = -0.2527 eV/atom
VASP energy = -6.409 eV/atom

# 6
Cu5Ge2 | PBE | optimized geometry

a b c (Å): 7.000 7.000 7.000
angles (deg): 34.18 34.18 34.18
Atoms (fractional coordinates):
Cu: 0.000 0.000 0.000
Cu: 0.123 0.123 0.123
Cu: 0.486 0.486 0.486
Cu: 0.616 0.616 0.616
Cu: 0.870 0.870 0.870
Ge: 0.253 0.253 0.253
Ge: 0.740 0.740 0.740

Output
formation enthalpy at 0 K = 0.0684 eV/atom
energy above the lowest structure with this stoichiometry = 2.9 meV per atom
VASP energy = -4.180 eV/atom

# 7
Cu5Ge2 | PBE | optimized geometry

a b c (Å): 7.091 7.091 7.091
angles (deg): 33.84 33.84 33.84
Atoms (fractional coordinates):
Cu: 0.000 0.000 0.000
Cu: 0.127 0.127 0.127
Cu: 0.377 0.377 0.377
Cu: 0.623 0.623 0.623
Cu: 0.873 0.873 0.873
Ge: 0.248 0.248 0.248
Ge: 0.752 0.752 0.752

Output
formation enthalpy at 0 K = 0.0655 eV/atom
energy above the lowest structure with this stoichiometry = 0.0 meV per atom
VASP energy = -4.183 eV/atom

# 8
HfCuGe | PBE | optimized geometry

a b c (Å): 3.785 3.785 13.562
angles (deg): 90.00 90.00 90.00
Atoms (fractional coordinates):
Hf: 0.000 0.000 0.170
Hf: 0.000 0.000 0.830
Hf: 0.500 0.500 0.330
Hf: 0.500 0.500 0.670
Cu: 0.000 0.500 0.000
Cu: 0.000 0.500 0.500
Cu: 0.500 0.000 0.000
Cu: 0.500 0.000 0.500
Ge: 0.000 0.000 0.373
Ge: 0.000 0.000 0.627
Ge: 0.500 0.500 0.127
Ge: 0.500 0.500 0.873

Output
formation enthalpy at 0 K = -0.5118 eV/atom
VASP energy = -6.738 eV/atom